The following is a DFT calculation (PBE) of an optimized crystal structure of Zr4In5Co2. Values from VASP.

Quantum ESPRESSO input file:
```
&SYSTEM
  ibrav = 0, nat = 11, ntyp = 3
/
ATOMIC_SPECIES
Co 58.93 Co.upf
In 114.82 In.upf
Zr 91.22 Zr.upf
CELL_PARAMETERS angstrom
-0.9785 2.9394 1.1547
-6.5546 -0.7391 -3.6728
-4.2880 -4.1327 6.8863
ATOMIC_POSITIONS crystal
Co 0.0000 0.9241 0.6338
Co 0.0000 0.0759 0.3662
In 0.0000 0.5422 0.6685
In 0.0000 0.8418 0.1424
In 0.0000 0.1582 0.8576
In 0.0000 0.4578 0.3315
In 0.0000 0.5000 0.0000
Zr 0.5000 0.1815 0.1583
Zr 0.5000 0.7994 0.4399
Zr 0.5000 0.8185 0.8417
Zr 0.5000 0.2006 0.5601
```

Output
**Space-group type**: P2/m (10)
**ΔH_f (0 K)**: -0.345 eV per atom

***

The following is a DFT calculation (PBE) of an optimized crystal structure of ZrTiRh. Values from VASP.

Quantum ESPRESSO input file:
```
&SYSTEM
  ibrav = 0, nat = 12, ntyp = 3
/
ATOMIC_SPECIES
Rh 102.91 Rh.upf
Ti 47.87 Ti.upf
Zr 91.22 Zr.upf
CELL_PARAMETERS angstrom
-3.3606 2.7543 3.0254
5.4884 0.4640 0.6000
0.0852 6.3733 -5.7077
ATOMIC_POSITIONS crystal
Rh 0.9884 0.9942 0.4917
Rh 0.9884 0.9942 0.0083
Rh 0.1894 0.8394 0.7500
Rh 0.1894 0.3501 0.7500
Ti 0.6888 0.8444 0.7500
Ti 0.8261 0.1741 0.2500
Ti 0.8262 0.6521 0.2500
Ti 0.3311 0.1655 0.2500
Zr 0.3290 0.6645 0.0486
Zr 0.6569 0.3285 0.9338
Zr 0.3290 0.6645 0.4514
Zr 0.6569 0.3285 0.5662
```

Output
**Space-group type**: Amm2 (38)
**Magnetization**: 0.00 μB/f.u.
**ΔH_f (0 K)**: -0.529 eV per atom

***

The following is a DFT calculation (PBE) of an optimized crystal structure of K2Be2ZnO6F8. Values from VASP.

Quantum ESPRESSO input file:
```
&SYSTEM
  ibrav = 0, nat = 38, ntyp = 5
/
ATOMIC_SPECIES
Be 9.01 Be.upf
O 16.00 O.upf
F 19.00 F.upf
K 39.10 K.upf
Zn 65.41 Zn.upf
CELL_PARAMETERS angstrom
-7.8877 -8.1530 0.6419
3.3657 -3.5121 -3.2512
4.9466 -4.3411 5.6466
ATOMIC_POSITIONS crystal
Be 0.6573 0.2437 0.0974
Be 0.3427 0.7563 0.9026
Be 0.1573 0.7563 0.4026
Be 0.8427 0.2437 0.5974
O 0.8805 0.6894 0.8682
O 0.8805 0.5587 0.1514
O 0.4414 0.8478 0.5199
O 0.9414 0.1522 0.9801
O 0.6195 0.5587 0.6514
O 0.5586 0.1522 0.4801
O 0.1195 0.3106 0.1318
O 0.0586 0.8478 0.0199
O 0.3805 0.4413 0.3486
O 0.6195 0.6894 0.3682
O 0.3805 0.3106 0.6318
O 0.1195 0.4413 0.8486
F 0.4191 0.7226 0.0523
F 0.9191 0.2774 0.4477
F 0.5692 0.1235 0.2426
F 0.0692 0.8765 0.2574
F 0.0809 0.7226 0.5523
F 0.2015 0.5139 0.3799
F 0.7985 0.4861 0.6201
F 0.4308 0.8765 0.7574
F 0.5809 0.2774 0.9477
F 0.2985 0.5139 0.8799
F 0.2609 0.9320 0.3976
F 0.2391 0.9320 0.8976
F 0.9308 0.1235 0.7426
F 0.7015 0.4861 0.1201
F 0.7391 0.0680 0.6024
F 0.7609 0.0680 0.1024
K 0.3569 0.1379 0.1097
K 0.6431 0.8621 0.8903
K 0.8569 0.8621 0.3903
K 0.1431 0.1379 0.6097
Zn 0.0000 0.5000 0.0000
Zn 0.5000 0.5000 0.5000
```

Output
**Space-group type**: P2_1/c (14)
**Magnetization**: 12.00 μB/f.u.
**ΔH_f (0 K)**: -1.545 eV per atom

***

The following is a DFT calculation (PBE) of an optimized crystal structure of Mg15C. Values from VASP.

Quantum ESPRESSO input file:
```
&SYSTEM
  ibrav = 0, nat = 16, ntyp = 2
/
ATOMIC_SPECIES
Mg 24.30 Mg.upf
C 12.01 C.upf
CELL_PARAMETERS angstrom
3.1529 -5.4610 0.0000
3.1529 5.4610 0.0000
0.0000 0.0000 9.9286
ATOMIC_POSITIONS crystal
Mg 0.6812 0.8406 0.2686
Mg 0.1594 0.3188 0.7314
Mg 0.6667 0.3333 0.2472
Mg 0.5047 0.0094 0.5000
Mg 0.5047 0.4953 0.5000
Mg 0.1594 0.8406 0.2686
Mg 0.6667 0.3333 0.7528
Mg 0.0000 0.0000 0.0000
Mg 0.4972 0.9944 0.0000
Mg 0.4972 0.5028 0.0000
Mg 0.9906 0.4953 0.5000
Mg 0.0056 0.5028 0.0000
Mg 0.1594 0.3188 0.2686
Mg 0.6812 0.8406 0.7314
Mg 0.1594 0.8406 0.7314
C 0.0000 0.0000 0.5000
```

Output
**Space-group type**: P-6m2 (187)
**Magnetization**: 0.00 μB/f.u.
**ΔH_f (0 K)**: 0.277 eV per atom

***

The following is a DFT calculation (PBE) of an optimized crystal structure of Na3RuO4. Values from VASP.

Quantum ESPRESSO input file:
```
&SYSTEM
  ibrav = 0, nat = 32, ntyp = 3
/
ATOMIC_SPECIES
Na 22.99 Na.upf
Ru 101.07 Ru.upf
O 16.00 O.upf
CELL_PARAMETERS angstrom
-1.0763 -3.6087 -7.6711
8.5384 0.3399 0.0796
1.4827 -5.4913 0.9583
ATOMIC_POSITIONS crystal
Na 0.7419 0.2581 0.5000
Na 0.6243 0.3757 0.0000
Na 0.3757 0.6243 0.0000
Na 0.5000 0.0000 0.0000
Na 0.8802 0.6297 0.5189
Na 0.5000 0.5000 0.5000
Na 0.1198 0.3703 0.4811
Na 0.0000 0.5000 0.0000
Na 0.0000 0.0000 0.5000
Na 0.2581 0.7419 0.5000
Na 0.6297 0.8802 0.5189
Na 0.3703 0.1198 0.4811
Ru 0.2538 0.2538 0.9752
Ru 0.7462 0.7462 0.0248
Ru 0.8728 0.1272 0.0000
Ru 0.1272 0.8728 0.0000
O 0.7661 0.9898 0.8109
O 0.9898 0.7661 0.8109
O 0.7537 0.5388 0.2318
O 0.8752 0.3281 0.7769
O 0.6552 0.6552 0.7992
O 0.2463 0.4612 0.7682
O 0.5388 0.7537 0.2318
O 0.1119 0.1119 0.7968
O 0.2339 0.0102 0.1891
O 0.0102 0.2339 0.1891
O 0.8881 0.8881 0.2032
O 0.6719 0.1248 0.2231
O 0.3281 0.8752 0.7769
O 0.1248 0.6719 0.2231
O 0.4612 0.2463 0.7682
O 0.3448 0.3448 0.2008
```

Output
**Space-group type**: C2/m (12)
**ΔH_f (0 K)**: -1.718 eV per atom

***

The following is a DFT calculation (PBE) of an optimized crystal structure of LuP2O2. Values from VASP.

Quantum ESPRESSO input file:
```
&SYSTEM
  ibrav = 0, nat = 20, ntyp = 3
/
ATOMIC_SPECIES
O 16.00 O.upf
P 30.97 P.upf
Lu 174.97 Lu.upf
CELL_PARAMETERS angstrom
-3.4375 3.4375 -7.8042
3.4375 -3.4375 -7.8042
-3.4375 -3.4375 7.8042
ATOMIC_POSITIONS crystal
O 0.6907 0.9921 0.6986
O 0.7421 0.9407 0.1986
O 0.0593 0.2579 0.8014
O 0.2936 0.9921 0.3014
O 0.0079 0.3093 0.3014
O 0.4564 0.2579 0.1986
O 0.0079 0.7064 0.6986
O 0.7421 0.5436 0.8014
P 0.1086 0.7780 0.6694
P 0.1892 0.3586 0.8306
P 0.5608 0.8914 0.6694
P 0.6414 0.8108 0.1694
P 0.1086 0.4392 0.3306
P 0.2220 0.8914 0.3306
P 0.5280 0.3586 0.1694
P 0.6414 0.4720 0.8306
Lu 0.8750 0.1250 0.2500
Lu 0.8750 0.6250 0.7500
Lu 0.3750 0.1250 0.2500
Lu 0.8750 0.1250 0.7500
```

Output
**Space-group type**: I4_1/amd (141)
**Magnetization**: 0.00 μB/f.u.
**ΔH_f (0 K)**: -1.631 eV per atom

***

The following is a DFT calculation (PBE) of an optimized crystal structure of La2Nb2N2O5. Values from VASP.

Quantum ESPRESSO input file:
```
&SYSTEM
  ibrav = 0, nat = 22, ntyp = 4
/
ATOMIC_SPECIES
N 14.01 N.upf
O 16.00 O.upf
La 138.91 La.upf
Nb 92.91 Nb.upf
CELL_PARAMETERS angstrom
7.9323 -7.6519 8.2087
9.8293 -4.1507 8.6610
-3.3547 1.2319 4.5343
ATOMIC_POSITIONS crystal
N 0.8849 0.8849 0.8230
N 0.0902 0.0902 0.8436
N 0.9071 0.9071 0.3365
N 0.2176 0.2176 0.2157
O 0.9871 0.9871 0.7222
O 0.5439 0.5439 0.5369
O 0.0116 0.0116 0.2348
O 0.3444 0.3444 0.5418
O 0.7966 0.7966 0.2469
O 0.4565 0.4565 0.0354
O 0.7805 0.7805 0.7295
O 0.1117 0.1117 0.3292
O 0.6500 0.6500 0.0462
O 0.2032 0.2032 0.7351
La 0.4501 0.4501 0.5270
La 0.5539 0.5539 0.0637
La 0.7151 0.7151 0.4577
La 0.2899 0.2899 0.9623
Nb 0.1630 0.1630 0.0108
Nb 0.9386 0.9386 0.0206
Nb 0.8445 0.8445 0.5058
Nb 0.0597 0.0597 0.5543
```

Output
**Space-group type**: Cm (8)
**Distance to the lowest polymorph of the same formula**: 25 meV per atom
**Magnetization**: 0.00 μB/f.u.
**ΔH_f (0 K)**: -2.774 eV per atom

***

The following is a DFT calculation (PBE) of an optimized crystal structure of Ca2H26I4O13. Values from VASP.

Quantum ESPRESSO input file:
```
&SYSTEM
  ibrav = 0, nat = 90, ntyp = 4
/
ATOMIC_SPECIES
H 1.01 H.upf
O 16.00 O.upf
Ca 40.08 Ca.upf
I 126.90 I.upf
CELL_PARAMETERS angstrom
3.7831 2.6045 7.1562
5.4305 -6.1911 4.4345
16.0957 5.0259 -5.2862
ATOMIC_POSITIONS crystal
H 0.7973 0.9466 0.4147
H 0.0291 0.8358 0.7685
H 0.4481 0.4996 0.3316
H 0.4549 0.1999 0.9878
H 0.7663 0.3858 0.5044
H 0.0727 0.7423 0.0779
H 0.0930 0.1048 0.4714
H 0.8347 0.1478 0.3078
H 0.3574 0.6999 0.4878
H 0.1587 0.5534 0.0853
H 0.9273 0.2577 0.9221
H 0.9070 0.8952 0.5286
H 0.3307 0.6048 0.9714
H 0.9384 0.3335 0.7250
H 0.2337 0.6142 0.4956
H 0.8074 0.5207 0.1289
H 0.4205 0.2026 0.6441
H 0.5452 0.0849 0.7976
H 0.6200 0.2996 0.1066
H 0.7328 0.7026 0.1441
H 0.9709 0.1642 0.2315
H 0.4548 0.9151 0.2024
H 0.7207 0.9996 0.8316
H 0.3800 0.7004 0.8934
H 0.0616 0.6665 0.2750
H 0.9970 0.1665 0.7750
H 0.5519 0.5004 0.6684
H 0.2902 0.3522 0.1922
H 0.7098 0.6478 0.8078
H 0.9739 0.7996 0.6066
H 0.4277 0.4151 0.7024
H 0.3435 0.8858 0.0044
H 0.5723 0.5849 0.2976
H 0.6426 0.3001 0.5122
H 0.0261 0.2004 0.3934
H 0.3666 0.3358 0.2685
H 0.6565 0.1142 0.9956
H 0.6693 0.3952 0.0286
H 0.5795 0.7974 0.3559
H 0.5451 0.8001 0.0122
H 0.2672 0.2974 0.8559
H 0.2027 0.0534 0.5853
H 0.8929 0.7577 0.4221
H 0.1926 0.4793 0.8711
H 0.1653 0.8522 0.6922
H 0.0030 0.8335 0.2250
H 0.1071 0.2423 0.5779
H 0.4569 0.9793 0.3711
H 0.6334 0.6642 0.7315
H 0.8413 0.4466 0.9147
H 0.2793 0.0004 0.1684
H 0.5431 0.0207 0.6289
O 0.7168 0.3169 0.5412
O 0.3421 0.4009 0.2180
O 0.0895 0.1464 0.5745
O 0.4026 0.5911 0.9183
O 0.8954 0.2500 0.7500
O 0.1046 0.7500 0.2500
O 0.4251 0.8169 0.0412
O 0.5469 0.4059 0.7043
O 0.4594 0.8858 0.3524
O 0.2832 0.6831 0.4588
O 0.0390 0.9009 0.7180
O 0.8103 0.3536 0.9255
O 0.5406 0.1142 0.6476
O 0.5974 0.4089 0.0817
O 0.9105 0.8536 0.4255
O 0.6579 0.5991 0.7820
O 0.1897 0.6464 0.0745
O 0.6571 0.0941 0.7957
O 0.9610 0.0991 0.2820
O 0.3023 0.3858 0.8524
O 0.6977 0.6142 0.1476
O 0.9120 0.9089 0.5817
O 0.0880 0.0911 0.4183
O 0.3429 0.9059 0.2043
O 0.4531 0.5941 0.2957
O 0.5749 0.1831 0.9588
Ca 0.4035 0.6317 0.1563
Ca 0.8085 0.1317 0.6563
Ca 0.5965 0.3683 0.8437
Ca 0.1915 0.8683 0.3437
I 0.7631 0.9651 0.1352
I 0.8634 0.5349 0.3648
I 0.8664 0.7151 0.8991
I 0.1366 0.4651 0.6352
I 0.2369 0.0349 0.8648
I 0.1336 0.2849 0.1009
I 0.5194 0.2151 0.3991
I 0.4806 0.7849 0.6009
```

Output
**Space-group type**: C2/c (15)
**Magnetization**: 0.09 μB/f.u.
**ΔH_f (0 K)**: -1.327 eV per atom

***

- Among the records above, which one has the lowest ΔH_f (0 K)?
  La2Nb2N2O5

***

- Which value of ΔH_f (0 K) does entry 8 give?
  -1.327 eV per atom